VASP calculation (PBE) on a relaxed Na9CaNb5Si9O36 crystal.

Output
calculated volume	13.7	Å³ per atom
electronic total energy	-2662.91	eV per cell

Structure (CIF):
```
data_Na9CaNb5Si9O36
_cell_length_a 9.171
_cell_length_b 22.562
_cell_length_c 24.194
_cell_angle_alpha 89.96
_cell_angle_beta 79.09
_cell_angle_gamma 89.98
_space_group_name_H-M_alt 'P 1'
_space_group_IT_number 1
loop_
_space_group_symop_operation_xyz
'x,y,z'
loop_
_atom_site_label
_atom_site_type_symbol
_atom_site_fract_x
_atom_site_fract_y
_atom_site_fract_z
Na1 Na 0.000 0.000 0.000
Na2 Na 0.001 0.249 0.673
Na3 Na 0.012 0.413 0.354
Na4 Na 0.074 0.087 0.122
Na5 Na 0.076 0.257 0.459
Na6 Na 0.092 0.912 0.436
Na7 Na 0.095 0.340 0.785
Na8 Na 0.100 0.836 0.789
Na9 Na 0.123 0.741 0.130
Na10 Na 0.186 0.588 0.237
Na11 Na 0.202 0.666 0.561
Na12 Na 0.211 0.166 0.561
Na13 Na 0.216 0.247 0.213
Na14 Na 0.251 0.909 0.237
Na15 Na 0.298 0.747 0.674
Na16 Na 0.309 0.998 0.344
Na17 Na 0.315 0.587 0.999
Na18 Na 0.321 0.498 0.343
Na19 Na 0.360 0.088 0.662
Na20 Na 0.363 0.246 0.014
Na21 Na 0.419 0.826 0.118
Na22 Na 0.420 0.249 0.794
Na23 Na 0.428 0.330 0.118
Na24 Na 0.439 0.756 0.459
Na25 Na 0.447 0.412 0.436
Na26 Na 0.480 0.589 0.781
Na27 Na 0.485 0.411 0.236
Na28 Na 0.518 0.590 0.583
Na29 Na 0.527 0.165 0.898
Na30 Na 0.527 0.247 0.559
Na31 Na 0.538 0.667 0.897
Na32 Na 0.546 0.746 0.213
Na33 Na 0.552 0.090 0.238
Na34 Na 0.597 0.746 0.012
Na35 Na 0.608 0.913 0.355
Na36 Na 0.649 0.003 0.676
Na37 Na 0.650 0.504 0.676
Na38 Na 0.663 0.087 0.998
Na39 Na 0.664 0.256 0.344
Na40 Na 0.713 0.089 0.781
Na41 Na 0.720 0.243 0.131
Na42 Na 0.751 0.916 0.106
Na43 Na 0.755 0.836 0.456
Na44 Na 0.764 0.337 0.456
Na45 Na 0.764 0.748 0.795
Na46 Na 0.778 0.586 0.121
Na47 Na 0.861 0.665 0.233
Na48 Na 0.866 0.254 0.886
Na49 Na 0.873 0.090 0.583
Na50 Na 0.879 0.168 0.233
Na51 Na 0.888 0.747 0.560
Na52 Na 0.953 0.590 0.663
Na53 Na 0.968 0.755 0.344
Na54 Na 0.977 0.499 0.004
Ca1 Ca 0.311 0.353 0.345
Ca2 Ca 0.317 0.852 0.346
Ca3 Ca 0.427 0.183 0.118
Ca4 Ca 0.429 0.682 0.117
Ca5 Ca 0.649 0.150 0.675
Ca6 Ca 0.651 0.651 0.675
Nb1 Nb 0.092 0.976 0.788
Nb2 Nb 0.093 0.477 0.789
Nb3 Nb 0.094 0.689 0.788
Nb4 Nb 0.098 0.187 0.786
Nb5 Nb 0.202 0.318 0.564
Nb6 Nb 0.203 0.523 0.566
Nb7 Nb 0.206 0.023 0.566
Nb8 Nb 0.209 0.818 0.564
Nb9 Nb 0.316 0.148 0.343
Nb10 Nb 0.316 0.648 0.343
Nb11 Nb 0.426 0.981 0.117
Nb12 Nb 0.427 0.481 0.117
Nb13 Nb 0.532 0.815 0.898
Nb14 Nb 0.535 0.020 0.895
Nb15 Nb 0.541 0.316 0.898
Nb16 Nb 0.546 0.520 0.895
Nb17 Nb 0.648 0.855 0.675
Nb18 Nb 0.651 0.356 0.675
Nb19 Nb 0.758 0.184 0.453
Nb20 Nb 0.761 0.979 0.452
Nb21 Nb 0.762 0.479 0.452
Nb22 Nb 0.763 0.684 0.454
Nb23 Nb 0.869 0.520 0.231
Nb24 Nb 0.872 0.314 0.230
Nb25 Nb 0.874 0.021 0.232
Nb26 Nb 0.874 0.812 0.230
Nb27 Nb 0.984 0.360 0.007
Nb28 Nb 0.984 0.646 0.006
Nb29 Nb 0.985 0.146 0.007
Nb30 Nb 0.988 0.858 0.003
Si1 Si 0.002 0.082 0.690
Si2 Si 0.008 0.420 0.663
Si3 Si 0.019 0.251 0.342
Si4 Si 0.053 0.083 0.453
Si5 Si 0.070 0.917 0.133
Si6 Si 0.073 0.253 0.104
Si7 Si 0.101 0.421 0.469
Si8 Si 0.116 0.752 0.443
Si9 Si 0.128 0.585 0.119
Si10 Si 0.164 0.419 0.227
Si11 Si 0.181 0.252 0.913
Si12 Si 0.194 0.583 0.882
Si13 Si 0.217 0.754 0.244
Si14 Si 0.232 0.085 0.219
Si15 Si 0.246 0.918 0.897
Si16 Si 0.273 0.752 0.004
Si17 Si 0.280 0.582 0.691
Si18 Si 0.304 0.920 0.662
Si19 Si 0.330 0.086 0.018
Si20 Si 0.346 0.420 0.993
Si21 Si 0.353 0.251 0.674
Si22 Si 0.380 0.081 0.789
Si23 Si 0.405 0.921 0.469
Si24 Si 0.416 0.252 0.443
Si25 Si 0.442 0.417 0.799
Si26 Si 0.452 0.749 0.774
Si27 Si 0.469 0.583 0.453
Si28 Si 0.496 0.419 0.565
Si29 Si 0.515 0.254 0.244
Si30 Si 0.524 0.585 0.219
Si31 Si 0.550 0.750 0.575
Si32 Si 0.562 0.081 0.549
Si33 Si 0.583 0.919 0.228
Si34 Si 0.613 0.752 0.342
Si35 Si 0.627 0.586 0.019
Si36 Si 0.636 0.919 0.993
Si37 Si 0.661 0.082 0.355
Si38 Si 0.683 0.417 0.329
Si39 Si 0.697 0.253 0.006
Si40 Si 0.728 0.084 0.119
Si41 Si 0.733 0.916 0.800
Si42 Si 0.748 0.250 0.774
Si43 Si 0.772 0.418 0.133
Si44 Si 0.797 0.754 0.103
Si45 Si 0.807 0.582 0.789
Si46 Si 0.833 0.417 0.897
Si47 Si 0.849 0.250 0.575
Si48 Si 0.864 0.581 0.549
Si49 Si 0.883 0.752 0.912
Si50 Si 0.899 0.084 0.882
Si51 Si 0.914 0.919 0.565
Si52 Si 0.948 0.751 0.674
Si53 Si 0.958 0.582 0.355
Si54 Si 0.963 0.916 0.329
O1 O 0.015 0.747 0.733
O2 O 0.015 0.860 0.175
O3 O 0.015 0.978 0.573
O4 O 0.022 0.191 0.073
O5 O 0.022 0.912 0.072
O6 O 0.027 0.861 0.554
O7 O 0.028 0.265 0.564
O8 O 0.033 0.027 0.731
O9 O 0.033 0.754 0.243
O10 O 0.040 0.581 0.554
O11 O 0.045 0.308 0.062
O12 O 0.051 0.143 0.722
O13 O 0.052 0.422 0.725
O14 O 0.054 0.068 0.229
O15 O 0.055 0.477 0.229
O16 O 0.059 0.359 0.223
O17 O 0.062 0.587 0.060
O18 O 0.066 0.479 0.625
O19 O 0.081 0.312 0.364
O20 O 0.088 0.766 0.622
O21 O 0.091 0.310 0.941
O22 O 0.092 0.592 0.945
O23 O 0.095 0.363 0.627
O24 O 0.115 0.078 0.512
O25 O 0.116 0.916 0.953
O26 O 0.117 0.082 0.629
O27 O 0.123 0.194 0.954
O28 O 0.127 0.814 0.409
O29 O 0.133 0.360 0.502
O30 O 0.133 0.923 0.335
O31 O 0.137 0.243 0.850
O32 O 0.138 0.591 0.350
O33 O 0.143 0.523 0.852
O34 O 0.146 0.198 0.333
O35 O 0.149 0.087 0.018
O36 O 0.150 0.475 0.508
O37 O 0.157 0.808 0.005
O38 O 0.164 0.753 0.505
O39 O 0.166 0.412 0.000
O40 O 0.171 0.919 0.841
O41 O 0.172 0.691 0.001
O42 O 0.175 0.640 0.841
O43 O 0.184 0.093 0.398
O44 O 0.198 0.922 0.725
O45 O 0.199 0.645 0.136
O46 O 0.200 0.644 0.722
O47 O 0.208 0.427 0.408
O48 O 0.210 0.527 0.731
O49 O 0.216 0.699 0.405
O50 O 0.225 0.248 0.733
O51 O 0.229 0.582 0.629
O52 O 0.231 0.421 0.284
O53 O 0.235 0.696 0.286
O54 O 0.241 0.145 0.183
O55 O 0.243 0.255 0.111
O56 O 0.250 0.924 0.131
O57 O 0.253 0.863 0.626
O58 O 0.256 0.532 0.110
O59 O 0.263 0.266 0.623
O60 O 0.265 0.815 0.270
O61 O 0.266 0.026 0.788
O62 O 0.268 0.421 0.794
O63 O 0.270 0.747 0.777
O64 O 0.276 0.143 0.793
O65 O 0.283 0.980 0.625
O66 O 0.291 0.089 0.279
O67 O 0.297 0.423 0.170
O68 O 0.306 0.253 0.505
O69 O 0.313 0.748 0.181
O70 O 0.316 0.975 0.508
O71 O 0.330 0.030 0.183
O72 O 0.340 0.860 0.502
O73 O 0.341 0.755 0.061
O74 O 0.347 0.033 0.065
O75 O 0.348 0.578 0.512
O76 O 0.354 0.199 0.405
O77 O 0.356 0.974 0.901
O78 O 0.358 0.927 0.408
O79 O 0.360 0.861 0.894
O80 O 0.363 0.254 0.906
O81 O 0.370 0.581 0.888
O82 O 0.380 0.081 0.554
O83 O 0.382 0.765 0.564
O84 O 0.386 0.478 0.573
O85 O 0.394 0.361 0.554
O86 O 0.394 0.593 0.398
O87 O 0.396 0.427 0.055
O88 O 0.397 0.477 0.953
O89 O 0.399 0.148 0.034
O90 O 0.405 0.590 0.279
O91 O 0.407 0.754 0.949
O92 O 0.432 0.359 0.963
O93 O 0.433 0.070 0.958
O94 O 0.436 0.189 0.655
O95 O 0.438 0.314 0.409
O96 O 0.440 0.314 0.270
O97 O 0.454 0.195 0.286
O98 O 0.458 0.580 0.685
O99 O 0.458 0.921 0.284
O100 O 0.459 0.359 0.840
O101 O 0.461 0.081 0.844
O102 O 0.462 0.530 0.184
O103 O 0.470 0.303 0.685
O104 O 0.479 0.910 0.666
O105 O 0.481 0.248 0.181
O106 O 0.488 0.091 0.350
O107 O 0.495 0.698 0.333
O108 O 0.495 0.766 0.835
O109 O 0.496 0.476 0.830
O110 O 0.504 0.080 0.732
O111 O 0.507 0.423 0.335
O112 O 0.512 0.803 0.728
O113 O 0.514 0.922 0.170
O114 O 0.527 0.689 0.610
O115 O 0.529 0.927 0.056
O116 O 0.530 0.812 0.363
O117 O 0.539 0.688 0.758
O118 O 0.542 0.647 0.033
O119 O 0.550 0.646 0.183
O120 O 0.551 0.408 0.738
O121 O 0.565 0.533 0.066
O122 O 0.570 0.255 0.061
O123 O 0.571 0.409 0.620
O124 O 0.572 0.641 0.463
O125 O 0.579 0.524 0.444
O126 O 0.582 0.859 0.964
O127 O 0.585 0.237 0.453
O128 O 0.585 0.569 0.958
O129 O 0.586 0.921 0.463
O130 O 0.594 0.424 0.131
O131 O 0.609 0.077 0.609
O132 O 0.616 0.028 0.110
O133 O 0.616 0.803 0.611
O134 O 0.619 0.424 0.505
O135 O 0.620 0.756 0.110
O136 O 0.624 0.977 0.953
O137 O 0.625 0.254 0.948
O138 O 0.627 0.142 0.514
O139 O 0.636 0.144 0.136
O140 O 0.648 0.976 0.830
O141 O 0.650 0.027 0.509
O142 O 0.650 0.264 0.837
O143 O 0.659 0.748 0.512
O144 O 0.670 0.580 0.844
O145 O 0.677 0.188 0.758
O146 O 0.678 0.858 0.841
O147 O 0.685 0.022 0.391
O148 O 0.685 0.908 0.738
O149 O 0.690 0.978 0.229
O150 O 0.692 0.569 0.230
O151 O 0.695 0.860 0.221
O152 O 0.699 0.253 0.243
O153 O 0.704 0.735 0.393
O154 O 0.707 0.754 0.906
O155 O 0.713 0.139 0.390
O156 O 0.715 0.472 0.900
O157 O 0.717 0.082 0.888
O158 O 0.728 0.358 0.893
O159 O 0.734 0.754 0.282
O160 O 0.736 0.303 0.728
O161 O 0.736 0.418 0.390
O162 O 0.739 0.580 0.732
O163 O 0.747 0.303 0.611
O164 O 0.756 0.577 0.609
O165 O 0.759 0.080 0.290
O166 O 0.763 0.356 0.297
O167 O 0.763 0.470 0.289
O168 O 0.783 0.909 0.620
O169 O 0.787 0.360 0.175
O170 O 0.803 0.248 0.512
O171 O 0.805 0.192 0.999
O172 O 0.808 0.588 0.018
O173 O 0.808 0.914 0.004
O174 O 0.810 0.309 0.006
O175 O 0.815 0.527 0.509
O176 O 0.820 0.075 0.171
O177 O 0.820 0.803 0.684
O178 O 0.821 0.476 0.165
O179 O 0.829 0.410 0.666
O180 O 0.832 0.080 0.684
O181 O 0.833 0.642 0.514
O182 O 0.837 0.189 0.611
O183 O 0.848 0.918 0.390
O184 O 0.850 0.757 0.165
O185 O 0.851 0.924 0.505
O186 O 0.852 0.087 0.060
O187 O 0.864 0.812 0.065
O188 O 0.871 0.639 0.390
O189 O 0.876 0.411 0.071
O190 O 0.877 0.235 0.393
O191 O 0.880 0.693 0.073
O192 O 0.883 0.690 0.654
O193 O 0.898 0.522 0.391
O194 O 0.902 0.695 0.953
O195 O 0.906 0.416 0.953
O196 O 0.906 0.644 0.793
O197 O 0.913 0.922 0.794
O198 O 0.914 0.856 0.297
O199 O 0.920 0.526 0.789
O200 O 0.922 0.970 0.289
O201 O 0.925 0.421 0.463
O202 O 0.926 0.248 0.779
O203 O 0.926 0.580 0.290
O204 O 0.932 0.811 0.942
O205 O 0.937 0.092 0.945
O206 O 0.937 0.737 0.453
O207 O 0.939 0.141 0.463
O208 O 0.952 0.024 0.443
O209 O 0.955 0.144 0.843
O210 O 0.958 0.257 0.165
O211 O 0.959 0.254 0.282
O212 O 0.962 0.419 0.841
O213 O 0.980 0.025 0.851
O214 O 0.984 0.975 0.165
O215 O 0.985 0.575 0.171
O216 O 0.985 0.744 0.849
```

---

VASP calculation (PBE) on a relaxed Gd3B7W crystal.

Output
calculated volume	12.2	Å³ per atom
electronic total energy	-431.09	eV per cell

Structure (CIF):
```
data_Gd3B7W
_cell_length_a 3.490
_cell_length_b 16.141
_cell_length_c 9.521
_cell_angle_alpha 90.00
_cell_angle_beta 90.00
_cell_angle_gamma 90.00
_space_group_name_H-M_alt 'C m c m'
_space_group_IT_number 63
_space_group_name_Hall '-C 2c 2'
loop_
_atom_site_label
_atom_site_type_symbol
_atom_site_fract_x
_atom_site_fract_y
_atom_site_fract_z
Gd1 Gd 0.000 0.107 0.061
Gd2 Gd 0.000 0.244 0.750
B1 B 0.000 0.273 0.032
B2 B 0.000 0.366 0.147
B3 B 0.000 0.458 0.750
B4 B 0.000 0.479 0.092
W1 W 0.000 0.054 0.750
```

---

Computed M_tot (μB per atom) in order:
0.00 1.91